Record 1
Pr2MgS4 after structural relaxation, computed with GGA-PBE.

Summary:
Excess energy over the best structure of this formula in the dataset, meV/atom: 36
Crystal system: cubic
Space-group type: Fd-3m (227)
E (MP2020), eV per atom: -6.0293
Energy of formation, eV per atom: -2.07
E_tot, eV/cell: -80.39
Mass density, g/cm³: 3.73

```
Pr2MgS4
1.0
0.000 5.781 5.781
5.781 0.000 5.781
5.781 5.781 0.000
Pr Mg S
4 2 8
direct
0.000 0.000 0.000
0.000 0.000 0.500
0.000 0.500 0.000
0.500 0.000 0.000
0.375 0.375 0.375
0.625 0.625 0.625
0.243 0.752 0.752
0.248 0.248 0.248
0.248 0.248 0.757
0.248 0.757 0.248
0.752 0.243 0.752
0.752 0.752 0.243
0.752 0.752 0.752
0.757 0.248 0.248
```



Record 2
PrMgSe3 after structural relaxation, computed with GGA-PBE.

Summary:
Excess energy over the best structure of this formula in the dataset, meV/atom: 96
Crystal system: monoclinic
Space-group type: C2/m (12)
E (MP2020), eV per atom: -4.7485
Energy of formation, eV per atom: -1.37
E_tot, eV/cell: -44.65
Mass density, g/cm³: 4.41

```
PrMgSe3
1.0
3.915 -6.252 0.000
3.915 6.252 0.000
-3.036 0.000 6.180
Pr Mg Se
2 2 6
direct
0.194 0.194 0.314
0.806 0.806 0.686
0.333 0.667 0.000
0.667 0.333 0.000
0.105 0.759 0.217
0.241 0.895 0.783
0.471 0.471 0.749
0.529 0.529 0.251
0.759 0.105 0.217
0.895 0.241 0.783
```



Record 3
PrMgSe3 after structural relaxation, computed with GGA-PBE.

Summary:
Excess energy over the best structure of this formula in the dataset, meV/atom: 0
E (MP2020), eV per atom: -4.8449
Energy of formation, eV per atom: -1.47
E_tot, eV/cell: -136.85
Mass density, g/cm³: 4.67

```
PrMgSe3
1.0
7.100 0.000 0.000
-3.550 6.149 0.000
0.000 0.000 19.636
Se Mg Pr
18 6 6
direct
0.291 0.324 0.753
0.300 0.958 0.914
0.967 0.291 0.247
0.042 0.342 0.914
0.342 0.300 0.086
0.958 0.658 0.086
0.033 0.709 0.753
0.700 0.042 0.086
0.991 0.367 0.581
0.658 0.700 0.914
0.676 0.967 0.753
0.009 0.633 0.419
0.633 0.624 0.581
0.709 0.676 0.247
0.367 0.376 0.419
0.376 0.009 0.581
0.624 0.991 0.419
0.324 0.033 0.247
0.667 0.333 0.494
0.000 0.000 0.161
0.333 0.667 0.827
0.667 0.333 0.173
0.333 0.667 0.506
0.000 0.000 0.839
0.333 0.667 0.018
0.000 0.000 0.352
0.333 0.667 0.315
0.667 0.333 0.982
0.667 0.333 0.685
0.000 0.000 0.648
```